(1)
Below is crystalline LiZr2Re at its relaxed geometry, with properties calculated at the r2SCAN level.

## Properties
crystal system: cubic
space group: Fm-3m (225)
E_tot: -100.97 eV for the cell shown
ΔH_f (0 K): -0.1692 eV per atom

abc: 4.678 4.678 4.678
angles: 60.00 60.00 60.00
Positions (direct):
Li (0.000, 0.000, 0.000)
Zr (0.250, 0.250, 0.250)
Zr (0.750, 0.750, 0.750)
Re (0.500, 0.500, 0.500)

---

(2)
Below is crystalline LiScRh2 at its relaxed geometry, with properties calculated at the r2SCAN level.

## Properties
crystal system: cubic
space group: Fm-3m (225)
E_tot: -64.50 eV for the cell shown
ΔH_f (0 K): -0.6103 eV per atom

abc: 4.346 4.346 4.346
angles: 60.00 60.00 60.00
Positions (direct):
Li (0.000, 0.000, 0.000)
Sc (0.500, 0.500, 0.500)
Rh (0.250, 0.250, 0.250)
Rh (0.750, 0.750, 0.750)

---

(3)
Below is crystalline LiSc2Rh at its relaxed geometry, with properties calculated at the r2SCAN level.

## Properties
crystal system: cubic
space group: Fm-3m (225)
E_tot: -51.53 eV for the cell shown
ΔH_f (0 K): -0.5536 eV per atom

abc: 4.634 4.634 4.634
angles: 60.00 60.00 60.00
Positions (direct):
Li (0.000, 0.000, 0.000)
Sc (0.250, 0.250, 0.250)
Sc (0.750, 0.750, 0.750)
Rh (0.500, 0.500, 0.500)

---

(4)
Below is crystalline LiSi2Rh2 at its relaxed geometry, with properties calculated at the r2SCAN level.

## Properties
crystal system: tetragonal
space group: P4/mbm (127)
E_tot: -144.29 eV for the cell shown
ΔH_f (0 K): -0.7880 eV per atom

abc: 6.989 6.989 2.741
angles: 90.00 90.00 90.00
Positions (direct):
Li (0.000, 0.000, 0.000)
Li (0.500, 0.500, 0.000)
Si (0.145, 0.355, 0.000)
Si (0.355, 0.855, 0.000)
Si (0.645, 0.145, 0.000)
Si (0.855, 0.645, 0.000)
Rh (0.150, 0.650, 0.500)
Rh (0.350, 0.150, 0.500)
Rh (0.650, 0.850, 0.500)
Rh (0.850, 0.350, 0.500)

---

(5)
Below is crystalline LiSn4Rh at its relaxed geometry, with properties calculated at the r2SCAN level.

## Properties
crystal system: tetragonal
space group: I4/mcm (140)
E_tot: -254.96 eV for the cell shown
ΔH_f (0 K): -0.3291 eV per atom

abc: 7.382 7.382 7.382
angles: 126.52 126.52 79.04
Positions (direct):
Li (0.000, 0.000, 0.000)
Li (0.500, 0.500, 0.000)
Sn (0.024, 0.524, 0.819)
Sn (0.205, 0.024, 0.500)
Sn (0.295, 0.795, 0.819)
Sn (0.476, 0.295, 0.500)
Sn (0.524, 0.705, 0.500)
Sn (0.705, 0.205, 0.181)
Sn (0.795, 0.976, 0.500)
Sn (0.976, 0.476, 0.181)
Rh (0.250, 0.250, 0.000)
Rh (0.750, 0.750, 0.000)

---

(6)
Below is crystalline LiThRh2 at its relaxed geometry, with properties calculated at the r2SCAN level.

## Properties
crystal system: cubic
space group: Fm-3m (225)
E_tot: -126.67 eV for the cell shown
ΔH_f (0 K): -0.6334 eV per atom

abc: 4.665 4.665 4.665
angles: 60.00 60.00 60.00
Positions (direct):
Li (0.000, 0.000, 0.000)
Th (0.500, 0.500, 0.500)
Rh (0.250, 0.250, 0.250)
Rh (0.750, 0.750, 0.750)